Here is LiMo2P3O12 after structural relaxation from the Materials Project database. Energies are from PBE with a Hubbard U.

Results
- ΔE to the lowest computed polymorph: 0.0017 eV/atom
- DFT total energy: -259.34 eV for the cell shown
- Energy relative to the elements: -2.5058 eV/atom
- MP2020-corrected energy: -288.640 eV per cell
- Size of the total moment: 8.00 Bohr magnetons per cell

Cell lengths 8.5276, 8.5334, 9.1639 Å; angles 62.29, 62.58, 60.52 degrees
Space group P-1 (No. 2)
One atom of each set of equivalent atoms:
Li: 0.2410 0.0734 0.3687 x2
Mo: 0.1529 0.6428 0.5536 x2
Mo: 0.3554 0.8501 0.9297 x2
P: 0.0385 0.9660 0.7460 x2
P: 0.2471 0.4632 0.2521 x2
P: 0.4670 0.2471 0.7539 x2
O: 0.0111 0.8274 0.6995 x2
O: 0.0378 0.4909 0.2988 x2
O: 0.0407 0.1468 0.5850 x2
O: 0.1148 0.9953 0.0911 x2
O: 0.2376 0.8781 0.7673 x2
O: 0.2797 0.4909 0.3906 x2
O: 0.3048 0.6057 0.0767 x2
O: 0.3339 0.4508 0.6995 x2
O: 0.3348 0.7933 0.3874 x2
O: 0.3726 0.2590 0.2442 x2
O: 0.3940 0.1007 0.7789 x2
O: 0.4916 0.2084 0.9252 x2

---

Here is Li3Mo2P3O12 after structural relaxation from the Materials Project database. Energies are from PBE with a Hubbard U.

Results
- ΔE to the lowest computed polymorph: 0.0089 eV/atom
- DFT total energy: -558.12 eV for the cell shown
- Energy relative to the elements: -2.5572 eV/atom
- MP2020-corrected energy: -616.709 eV per cell
- Size of the total moment: 24.00 Bohr magnetons per cell

Cell lengths 8.6366, 8.9818, 15.0275 Å; angles 90.00, 125.00, 90.00 degrees
Space group P2_1/c (No. 14)
One atom of each set of equivalent atoms:
Li: 0.0019 0.2224 0.1787 x4
Li: 0.2817 0.0149 0.8494 x4
Li: 0.3938 0.0894 0.3119 x4
Mo: 0.1342 0.0386 0.3901 x4
Mo: 0.3524 0.0303 0.1072 x4
P: 0.0346 0.6078 0.6491 x4
P: 0.2654 0.1166 0.6538 x4
P: 0.4458 0.7496 0.4894 x4
O: 0.0166 0.7394 0.1910 x4
O: 0.1222 0.0090 0.2446 x4
O: 0.1345 0.0732 0.6921 x4
O: 0.1545 0.6126 0.6043 x4
O: 0.1657 0.0876 0.5334 x4
O: 0.1707 0.0489 0.9353 x4
O: 0.2466 0.6815 0.9369 x4
O: 0.2933 0.2122 0.1766 x4
O: 0.4007 0.1299 0.4482 x4
O: 0.4487 0.6676 0.3996 x4
O: 0.4517 0.0257 0.7220 x4
O: 0.4860 0.6391 0.5803 x4

---

Here is LiMoP2O7 after structural relaxation from the Materials Project database. Energies are from PBE with a Hubbard U.

Results
- ΔE to the lowest computed polymorph: 0.0415 eV/atom
- DFT total energy: -312.66 eV for the cell shown
- Energy relative to the elements: -2.5417 eV/atom
- MP2020-corrected energy: -344.703 eV per cell
- Size of the total moment: 12.00 Bohr magnetons per cell

Cell lengths 6.9001, 8.4570, 9.5178 Å; angles 90.00, 106.31, 90.00 degrees
Space group P2_1/c (No. 14)
One atom of each set of equivalent atoms:
Li: 0.2308 0.1015 0.0660 x4
Mo: 0.2823 0.7237 0.9934 x4
P: 0.0516 0.5365 0.2130 x4
P: 0.4514 0.0862 0.7046 x4
O: 0.0740 0.6737 0.1138 x4
O: 0.0821 0.5882 0.3746 x4
O: 0.1466 0.5513 0.8401 x4
O: 0.2216 0.0995 0.7158 x4
O: 0.4096 0.5876 0.6372 x4
O: 0.4730 0.2325 0.6132 x4
O: 0.4737 0.5715 0.1348 x4

---

Here is LiMo2P3O12 after structural relaxation from the Materials Project database. Energies are from PBE with a Hubbard U.

Results
- ΔE to the lowest computed polymorph: 0.0054 eV/atom
- DFT total energy: -518.42 eV for the cell shown
- Energy relative to the elements: -2.5020 eV/atom
- MP2020-corrected energy: -577.008 eV per cell
- Size of the total moment: 16.00 Bohr magnetons per cell

Cell lengths 8.6755, 8.8854, 14.9743 Å; angles 90.00, 124.77, 90.00 degrees
Space group P2_1/c (No. 14)
One atom of each set of equivalent atoms:
Li: 0.0182 0.2225 0.3192 x4
Mo: 0.1408 0.5387 0.3871 x4
Mo: 0.3697 0.5303 0.1179 x4
P: 0.0320 0.1047 0.6437 x4
P: 0.2523 0.6163 0.6472 x4
P: 0.4571 0.2495 0.4920 x4
O: 0.0075 0.2394 0.1807 x4
O: 0.0733 0.5152 0.2308 x4
O: 0.0947 0.5883 0.6650 x4
O: 0.1534 0.5574 0.9618 x4
O: 0.1843 0.5693 0.5319 x4
O: 0.1945 0.1083 0.6298 x4
O: 0.2614 0.1743 0.9270 x4
O: 0.2895 0.7124 0.1642 x4
O: 0.3870 0.6336 0.4408 x4
O: 0.4259 0.5210 0.7288 x4
O: 0.4648 0.1370 0.5719 x4
O: 0.4795 0.1725 0.4073 x4

---

Here is LiMoP2O8 after structural relaxation from the Materials Project database. Energies are from PBE with a Hubbard U.

Results
- ΔE to the lowest computed polymorph: 0.0574 eV/atom
- DFT total energy: -83.81 eV for the cell shown
- Energy relative to the elements: -2.4451 eV/atom
- MP2020-corrected energy: -92.507 eV per cell
- Size of the total moment: 1.00 Bohr magnetons per cell

Cell lengths 5.0190, 5.0360, 8.7848 Å; angles 86.96, 89.59, 60.80 degrees
Space group P1 (No. 1)
One atom of each set of equivalent atoms:
Li: 0.0000 0.0000 0.0000 x1
Mo: 0.6336 0.9141 0.4564 x1
P: 0.2868 0.5967 0.2566 x1
P: 0.9819 0.2327 0.6544 x1
O: 0.3042 0.9842 0.6048 x1
O: 0.3103 0.6190 0.0867 x1
O: 0.3434 0.2821 0.3234 x1
O: 0.5253 0.6651 0.3387 x1
O: 0.7451 0.1601 0.5725 x1
O: 0.9276 0.5434 0.5816 x1
O: 0.9460 0.2299 0.8229 x1
O: 0.9616 0.8477 0.3043 x1

---

Here is LiMoP2O7 after structural relaxation from the Materials Project database. Energies are from PBE with a Hubbard U.

Results
- ΔE to the lowest computed polymorph: 0.0000 eV/atom
- DFT total energy: -157.24 eV for the cell shown
- Energy relative to the elements: -2.5832 eV/atom
- MP2020-corrected energy: -173.265 eV per cell
- Size of the total moment: 6.00 Bohr magnetons per cell

Cell lengths 5.0052, 8.5974, 7.1454 Å; angles 90.00, 108.71, 90.00 degrees
Space group P2_1 (No. 4)
One atom of each set of equivalent atoms:
Li: 0.1855 0.0000 0.1672 x2
Mo: 0.2091 0.3542 0.2250 x2
P: 0.2158 0.0675 0.5810 x2
P: 0.4027 0.6757 0.0337 x2
O: 0.0432 0.5336 0.3597 x2
O: 0.1414 0.1514 0.3816 x2
O: 0.2064 0.8177 0.9968 x2
O: 0.2377 0.5220 0.0090 x2
O: 0.3915 0.9223 0.5787 x2
O: 0.3991 0.1746 0.0911 x2
O: 0.4090 0.1939 0.7376 x2

---

Here is LiMoP2O8 after structural relaxation from the Materials Project database. Energies are from PBE with a Hubbard U.

Results
- ΔE to the lowest computed polymorph: 0.0315 eV/atom
- DFT total energy: -336.48 eV for the cell shown
- Energy relative to the elements: -2.4711 eV/atom
- MP2020-corrected energy: -371.273 eV per cell
- Size of the total moment: 4.00 Bohr magnetons per cell

Cell lengths 5.2986, 10.8996, 11.4698 Å; angles 90.00, 90.00, 90.00 degrees
Space group P2_12_12_1 (No. 19)
One atom of each set of equivalent atoms:
Li: 0.2457 0.2335 0.3938 x4
Mo: 0.2362 0.4053 0.1467 x4
P: 0.2400 0.1397 0.6686 x4
P: 0.2408 0.0909 0.0430 x4
O: 0.0072 0.5576 0.5174 x4
O: 0.0231 0.6710 0.7799 x4
O: 0.0307 0.9530 0.4723 x4
O: 0.0446 0.8274 0.2536 x4
O: 0.2167 0.8021 0.0526 x4
O: 0.2428 0.7765 0.5804 x4
O: 0.2438 0.4539 0.7114 x4
O: 0.2494 0.0097 0.1610 x4

---

Here is LiMoP2O7 after structural relaxation from the Materials Project database. Energies are from PBE with a Hubbard U.

Results
- ΔE to the lowest computed polymorph: 0.0368 eV/atom
- DFT total energy: -312.87 eV for the cell shown
- Energy relative to the elements: -2.5464 eV/atom
- MP2020-corrected energy: -344.910 eV per cell
- Size of the total moment: 12.00 Bohr magnetons per cell

Cell lengths 7.1476, 8.5028, 9.1277 Å; angles 90.00, 113.83, 90.00 degrees
Space group P2_1/c (No. 14)
One atom of each set of equivalent atoms:
Li: 0.2128 0.0456 0.3338 x4
Mo: 0.2597 0.0798 0.8868 x4
P: 0.0401 0.7282 0.9692 x4
P: 0.4390 0.7294 0.2524 x4
O: 0.0174 0.0970 0.6578 x4
O: 0.0751 0.6112 0.4099 x4
O: 0.1134 0.2360 0.4512 x4
O: 0.2499 0.6583 0.0998 x4
O: 0.3842 0.2336 0.3040 x4
O: 0.3842 0.6202 0.8083 x4
O: 0.4822 0.5902 0.3767 x4